one) {"formula": "Ho2MgSe4", "functional": "GGA-PBE", "state": "relaxed", "cell": [[0.0000, 5.8348, 5.8348], [5.8348, 0.0000, 5.8348], [5.8348, 5.8348, 0.0000]], "species": ["Ho", "Ho", "Ho", "Ho", "Mg", "Mg", "Se", "Se", "Se", "Se", "Se", "Se", "Se", "Se"], "frac_coords": [[0.0000, 0.0000, 0.0000], [0.0000, 0.0000, 0.5000], [0.0000, 0.5000, 0.0000], [0.5000, 0.0000, 0.0000], [0.3750, 0.3750, 0.3750], [0.6250, 0.6250, 0.6250], [0.2352, 0.7549, 0.7549], [0.2451, 0.2451, 0.2451], [0.2451, 0.2451, 0.7648], [0.2451, 0.7648, 0.2451], [0.7549, 0.2352, 0.7549], [0.7549, 0.7549, 0.2352], [0.7549, 0.7549, 0.7549], [0.7648, 0.2451, 0.2451]], "volume_a3_per_cell": 397.3}



two) {"formula": "Ho2MgSe4", "functional": "GGA-PBE", "state": "relaxed", "cell": [[7.4506, 0.0000, 0.0000], [-0.0015, 8.6365, 0.0000], [-1.3009, -2.1945, 13.5816]], "species": ["Ho", "Ho", "Ho", "Ho", "Ho", "Ho", "Ho", "Ho", "Mg", "Mg", "Mg", "Mg", "Se", "Se", "Se", "Se", "Se", "Se", "Se", "Se", "Se", "Se", "Se", "Se", "Se", "Se", "Se", "Se"], "frac_coords": [[0.1315, 0.4443, 0.2994], [0.1321, 0.9557, 0.3024], [0.2589, 0.1260, 0.0006], [0.3639, 0.3002, 0.6993], [0.6361, 0.6998, 0.3007], [0.7411, 0.8740, 0.9994], [0.8679, 0.0443, 0.6976], [0.8685, 0.5557, 0.7006], [0.2511, 0.6234, 0.9971], [0.3671, 0.8007, 0.7027], [0.6329, 0.1993, 0.2973], [0.7489, 0.3766, 0.0029], [0.0965, 0.4061, 0.1017], [0.1045, 0.8967, 0.1040], [0.1936, 0.5413, 0.6268], [0.1947, 0.0215, 0.6260], [0.3104, 0.7190, 0.3772], [0.3273, 0.2192, 0.3745], [0.3930, 0.8443, 0.8916], [0.4050, 0.3544, 0.8971], [0.5950, 0.6456, 0.1029], [0.6070, 0.1557, 0.1084], [0.6727, 0.7808, 0.6255], [0.6896, 0.2810, 0.6228], [0.8053, 0.9785, 0.3740], [0.8064, 0.4587, 0.3732], [0.8955, 0.1033, 0.8960], [0.9035, 0.5939, 0.8983]], "volume_a3_per_cell": 873.9}



Ranked by calculated energy, most stable first: one), two).



one) {"formula": "Ba3MgNb2ZnO9", "functional": "GGA-PBE", "state": "relaxed", "cell": [[5.0796, -2.9401, 0.0000], [5.0796, 2.9401, 0.0000], [-0.1938, 0.0000, 9.4858]], "species": ["Ba", "Ba", "Ba", "Mg", "Nb", "Nb", "Zn", "O", "O", "O", "O", "O", "O", "O", "O", "O"], "frac_coords": [[0.0000, 0.0000, 0.0000], [0.3277, 0.3277, 0.7564], [0.6552, 0.6552, 0.5118], [0.3205, 0.3205, 0.3998], [0.6644, 0.6644, 0.8931], [0.9908, 0.9908, 0.6118], [0.3356, 0.3356, 0.1248], [0.1502, 0.1502, 0.5009], [0.1498, 0.6581, 0.5079], [0.3264, 0.8289, 0.7481], [0.5005, 0.5005, 0.9921], [0.5005, 0.9949, 0.9924], [0.6581, 0.1498, 0.5079], [0.8279, 0.8279, 0.7512], [0.8289, 0.3264, 0.7481], [0.9949, 0.5005, 0.9924]], "volume_a3_per_cell": 283.3}



two) {"formula": "Ba3MgNb2ZnO9", "functional": "GGA-PBE", "state": "relaxed", "cell": [[5.5097, -2.9413, 0.0000], [5.5097, 2.9413, 0.0000], [-0.7231, 0.0000, 7.3880]], "species": ["Ba", "Ba", "Ba", "Mg", "Nb", "Nb", "Zn", "O", "O", "O", "O", "O", "O", "O", "O", "O"], "frac_coords": [[0.0000, 0.0000, 0.0000], [0.2670, 0.2670, 0.6668], [0.5646, 0.5646, 0.3998], [0.7790, 0.7790, 0.1844], [0.2928, 0.2928, 0.1721], [0.6065, 0.6065, 0.8455], [0.9120, 0.9120, 0.5525], [0.1018, 0.6355, 0.3317], [0.1523, 0.1523, 0.3161], [0.2688, 0.7692, 0.6928], [0.4611, 0.4611, 0.0201], [0.4710, 0.9514, 0.0067], [0.6355, 0.1018, 0.3317], [0.7485, 0.7485, 0.6722], [0.7692, 0.2688, 0.6928], [0.9514, 0.4710, 0.0067]], "volume_a3_per_cell": 239.5}



Ranked by calculated energy, most stable first: one), two).



one) {"formula": "Hf8MgN8O4", "functional": "GGA-PBE", "state": "relaxed", "cell": [[5.4040, 0.0000, 0.0000], [2.6825, 4.7691, 0.0000], [2.6581, -1.3271, 10.2435]], "species": ["Hf", "Hf", "Hf", "Hf", "Hf", "Hf", "Hf", "Hf", "Mg", "N", "N", "N", "N", "N", "N", "N", "N", "O", "O", "O", "O"], "frac_coords": [[0.0000, 0.0000, 0.0000], [0.0095, 0.4956, 0.5281], [0.1771, 0.4356, 0.2164], [0.1940, 0.9081, 0.7152], [0.4560, 0.7844, 0.2917], [0.4687, 0.2978, 0.7943], [0.6698, 0.1568, 0.5091], [0.7041, 0.6296, 0.9770], [0.7987, 0.1045, 0.2544], [0.0501, 0.7807, 0.3692], [0.0807, 0.2743, 0.8736], [0.2748, 0.5094, 0.6341], [0.3820, 0.1667, 0.3772], [0.3888, 0.6715, 0.8776], [0.5794, 0.4054, 0.1284], [0.8500, 0.7518, 0.1347], [0.8820, 0.2207, 0.6333], [0.2174, 0.0444, 0.1456], [0.5945, 0.8791, 0.6249], [0.7534, 0.4459, 0.3724], [0.7791, 0.9510, 0.8725]], "volume_a3_per_cell": 264.0}



two) {"formula": "Hf8MgN8O4", "functional": "GGA-PBE", "state": "relaxed", "cell": [[5.6939, 0.0000, 0.0000], [2.8400, 4.9841, 0.0000], [2.8141, -1.5514, 10.3619]], "species": ["Hf", "Hf", "Hf", "Hf", "Hf", "Hf", "Hf", "Hf", "Mg", "N", "N", "N", "N", "N", "N", "N", "N", "O", "O", "O", "O"], "frac_coords": [[0.0000, 0.0000, 0.0000], [0.0355, 0.8171, 0.4213], [0.2063, 0.8848, 0.7105], [0.3508, 0.3431, 0.9981], [0.4534, 0.1079, 0.2955], [0.5452, 0.2509, 0.7133], [0.7083, 0.6424, 0.9996], [0.8714, 0.5639, 0.7210], [0.7075, 0.4795, 0.4126], [0.1008, 0.6446, 0.8558], [0.3985, 0.8131, 0.3670], [0.5976, 0.5449, 0.6212], [0.6100, 0.0329, 0.0904], [0.7396, 0.1235, 0.3626], [0.7642, 0.2837, 0.8567], [0.9163, 0.8794, 0.6243], [0.9764, 0.3460, 0.0735], [0.0824, 0.4611, 0.3611], [0.2460, 0.2166, 0.6468], [0.2949, 0.6962, 0.0758], [0.4424, 0.9367, 0.8481]], "volume_a3_per_cell": 294.1}



Ranked by calculated energy, most stable first: one), two).



one) {"formula": "MgSn2O4", "functional": "GGA-PBE", "state": "relaxed", "cell": [[8.5564, 0.0000, 0.0000], [0.0000, 3.1027, 0.0000], [0.0000, 0.0000, 14.5877]], "species": ["Mg", "Mg", "Mg", "Mg", "Sn", "Sn", "Sn", "Sn", "Sn", "Sn", "Sn", "Sn", "O", "O", "O", "O", "O", "O", "O", "O", "O", "O", "O", "O", "O", "O", "O", "O"], "frac_coords": [[0.2044, 0.2500, 0.2204], [0.2956, 0.7500, 0.7204], [0.7044, 0.2500, 0.2796], [0.7956, 0.7500, 0.7796], [0.0305, 0.7500, 0.4015], [0.0772, 0.7500, 0.9049], [0.4228, 0.2500, 0.4049], [0.4695, 0.2500, 0.9015], [0.5305, 0.7500, 0.0985], [0.5772, 0.7500, 0.5951], [0.9228, 0.2500, 0.0951], [0.9695, 0.2500, 0.5985], [0.0730, 0.7500, 0.6706], [0.0819, 0.7500, 0.1555], [0.1266, 0.2500, 0.4830], [0.2353, 0.7500, 0.3215], [0.2647, 0.2500, 0.8215], [0.3734, 0.7500, 0.9830], [0.4181, 0.2500, 0.6555], [0.4270, 0.2500, 0.1706], [0.5730, 0.7500, 0.8294], [0.5819, 0.7500, 0.3445], [0.6266, 0.2500, 0.0170], [0.7353, 0.7500, 0.1785], [0.7647, 0.2500, 0.6785], [0.8734, 0.7500, 0.5170], [0.9181, 0.2500, 0.8445], [0.9270, 0.2500, 0.3294]], "volume_a3_per_cell": 387.3}



two) {"formula": "MgSn2O4", "functional": "GGA-PBE", "state": "relaxed", "cell": [[5.8787, -3.2718, 0.0000], [5.8787, 3.2718, 0.0000], [-0.1197, 0.0000, 15.7609]], "species": ["Mg", "Mg", "Mg", "Mg", "Mg", "Mg", "Sn", "Sn", "Sn", "Sn", "Sn", "Sn", "Sn", "Sn", "Sn", "Sn", "Sn", "Sn", "O", "O", "O", "O", "O", "O", "O", "O", "O", "O", "O", "O", "O", "O", "O", "O", "O", "O", "O", "O", "O", "O", "O", "O"], "frac_coords": [[0.0000, 0.0000, 0.0000], [0.0128, 0.0128, 0.3838], [0.0265, 0.0265, 0.7606], [0.3506, 0.3506, 0.4239], [0.6850, 0.6850, 0.7130], [0.6977, 0.6977, 0.0975], [0.0003, 0.5146, 0.8802], [0.1804, 0.1804, 0.2183], [0.1830, 0.6886, 0.2164], [0.3450, 0.8580, 0.5467], [0.3455, 0.3455, 0.0483], [0.3527, 0.3527, 0.6699], [0.5111, 0.5111, 0.8808], [0.5146, 0.0003, 0.8802], [0.6786, 0.6786, 0.3288], [0.6886, 0.1830, 0.2164], [0.8513, 0.8513, 0.5472], [0.8580, 0.3450, 0.5467], [0.0004, 0.0004, 0.6293], [0.0038, 0.0038, 0.1335], [0.0219, 0.5556, 0.1432], [0.1501, 0.6755, 0.9493], [0.1587, 0.7043, 0.4699], [0.1744, 0.1744, 0.4588], [0.1766, 0.1766, 0.9529], [0.3017, 0.8396, 0.3018], [0.3342, 0.3342, 0.8206], [0.3696, 0.3696, 0.2916], [0.3739, 0.8738, 0.7914], [0.5208, 0.5208, 0.1493], [0.5441, 0.9722, 0.6213], [0.5493, 0.5493, 0.6218], [0.5556, 0.0219, 0.1432], [0.6755, 0.1501, 0.9493], [0.6826, 0.6826, 0.4776], [0.7026, 0.7026, 0.9649], [0.7043, 0.1587, 0.4699], [0.8260, 0.8260, 0.8024], [0.8396, 0.3017, 0.3018], [0.8738, 0.3739, 0.7914], [0.8849, 0.8849, 0.2909], [0.9722, 0.5441, 0.6213]], "volume_a3_per_cell": 606.3}



Ranked by calculated energy, most stable first: one), two).